Ba2ZrS4 | PBE | relaxed

```
Ba2ZrS4
1.0
-2.5054 2.5054 7.9450
2.5054 -2.5054 7.9450
2.5054 2.5054 -7.9450
Ba Zr S
2 1 4
direct
0.1417 0.1417 0.0000
0.8583 0.8583 0.0000
0.5000 0.5000 0.0000
0.0000 0.5000 0.5000
0.3368 0.3368 0.0000
0.5000 0.0000 0.5000
0.6632 0.6632 0.0000
```

calculated density: 4.11 Mg/m³

=====

BaSb3 | PBE | relaxed

```
BaSb3
1.0
5.4970 -4.3149 0.0000
5.4970 4.3149 0.0000
-2.5494 0.0000 6.0633
Ba Sb
2 6
direct
0.1654 0.1654 0.3214
0.8346 0.8346 0.6786
0.0831 0.6423 0.2027
0.3577 0.9169 0.7973
0.4873 0.4873 0.7714
0.5127 0.5127 0.2286
0.6423 0.0831 0.2027
0.9169 0.3577 0.7973
```

calculated density: 5.80 Mg/m³

=====

Ba5Sb4 | PBE | relaxed

```
Ba5Sb4
1.0
9.0137 -4.5769 0.0000
9.0137 4.5769 0.0000
0.0000 0.0000 9.1974
Ba Sb
10 8
direct
0.0000 0.0000 0.0000
0.0224 0.6854 0.6642
0.1854 0.5224 0.1642
0.3145 0.9776 0.6642
0.4776 0.8145 0.1642
0.5000 0.5000 0.5000
0.5224 0.1855 0.8358
0.6855 0.0224 0.3358
0.8146 0.4776 0.8358
0.9776 0.3146 0.3358
0.1132 0.8868 0.3871
0.1981 0.1981 0.0000
0.3019 0.3019 0.5000
0.3868 0.6132 0.8871
0.6132 0.3868 0.1129
0.6981 0.6981 0.5000
0.8019 0.8019 0.0000
0.8868 0.1132 0.6129
```

calculated density: 5.14 Mg/m³
offset from the most stable computed form: 0 meV per atom

=====

Ba2Sb3 | PBE | relaxed

```
Ba2Sb3
1.0
7.0367 0.0000 0.0000
0.0000 13.6938 0.0000
-0.0423 0.0000 16.0229
Ba Sb
16 24
direct
0.0216 0.2278 0.2395
0.0216 0.2722 0.7395
0.2460 0.6228 0.0059
0.2460 0.8772 0.5059
0.2530 0.1261 0.9929
0.2530 0.3739 0.4929
0.4755 0.5232 0.2461
0.4755 0.9768 0.7461
0.5245 0.0232 0.2539
0.5245 0.4768 0.7539
0.7470 0.6261 0.5071
0.7470 0.8739 0.0071
0.7540 0.1228 0.4941
0.7540 0.3772 0.9941
0.9784 0.7278 0.2605
0.9784 0.7722 0.7605
0.0015 0.0196 0.6694
0.0015 0.4804 0.1694
0.1007 0.5487 0.6558
0.1007 0.9513 0.1558
0.2440 0.1168 0.4191
0.2440 0.3832 0.9191
0.2572 0.6328 0.4297
0.2572 0.8672 0.9297
0.4109 0.7068 0.6626
0.4109 0.7932 0.1626
0.4945 0.2308 0.6606
0.4945 0.2692 0.1606
0.5055 0.7308 0.8394
0.5055 0.7692 0.3394
0.5891 0.2068 0.8374
0.5891 0.2932 0.3374
0.7428 0.1328 0.0703
0.7428 0.3672 0.5703
0.7560 0.6168 0.0809
0.7560 0.8832 0.5809
0.8993 0.0487 0.8442
0.8993 0.4513 0.3442
0.9985 0.5196 0.8306
0.9985 0.9804 0.3306
```

calculated density: 5.51 Mg/m³

=====

Ba5Sb4 | PBE | relaxed

```
Ba5Sb4
1.0
9.1556 0.0000 0.0000
0.0000 18.0227 0.0000
0.0000 0.0000 9.1974
Ba Sb
20 16
direct
0.0765 0.1032 0.1661
0.0765 0.3968 0.1661
0.0866 0.6046 0.3379
0.0866 0.8954 0.3379
0.2462 0.2500 0.5015
0.2538 0.7500 0.0015
0.4134 0.1046 0.8379
0.4134 0.3954 0.8379
0.4235 0.6032 0.6661
0.4235 0.8968 0.6661
0.5765 0.1032 0.3339
0.5765 0.3968 0.3339
0.5866 0.6046 0.1621
0.5866 0.8954 0.1621
0.7462 0.2500 0.9985
0.7538 0.7500 0.4985
0.9134 0.1046 0.6621
0.9134 0.3954 0.6621
0.9235 0.6032 0.8339
0.9235 0.8968 0.8339
0.1327 0.2500 0.8898
0.1409 0.7500 0.6157
0.2474 0.0519 0.5039
0.2474 0.4481 0.5039
0.2526 0.5519 0.0039
0.2526 0.9481 0.0039
0.3591 0.2500 0.1157
0.3673 0.7500 0.3898
0.6327 0.2500 0.6102
0.6409 0.7500 0.8843
0.7474 0.0519 0.9961
0.7474 0.4481 0.9961
0.7526 0.5519 0.4961
0.7526 0.9481 0.4961
0.8591 0.2500 0.3843
0.8673 0.7500 0.1102
```

calculated density: 5.14 Mg/m³
offset from the most stable computed form: 2 meV per atom

=====

Ba4Sb4Se11 | PBE | relaxed

```
Ba4Sb4Se11
1.0
9.1197 0.0000 0.0000
0.0000 28.3121 0.0000
0.0000 0.0000 9.3244
Ba Sb Se
16 16 44
direct
0.0671 0.2091 0.2479
0.0671 0.2091 0.7521
0.1523 0.5594 0.2470
0.1523 0.5594 0.7530
0.3477 0.0594 0.2530
0.3477 0.0594 0.7470
0.4329 0.7091 0.2521
0.4329 0.7091 0.7479
0.5671 0.2909 0.2521
0.5671 0.2909 0.7479
0.6523 0.9406 0.2530
0.6523 0.9406 0.7470
0.8477 0.4406 0.2470
0.8477 0.4406 0.7530
0.9329 0.7909 0.2479
0.9329 0.7909 0.7521
0.0394 0.9274 0.0000
0.0830 0.9362 0.5000
0.1313 0.3430 0.5000
0.1368 0.3393 0.0000
0.3632 0.8393 0.5000
0.3687 0.8430 0.0000
0.4170 0.4362 0.0000
0.4606 0.4274 0.5000
0.5394 0.5726 0.5000
0.5830 0.5638 0.0000
0.6313 0.1570 0.0000
0.6368 0.1607 0.5000
0.8632 0.6607 0.0000
0.8687 0.6570 0.5000
0.9170 0.0638 0.5000
0.9606 0.0726 0.0000
0.0000 0.0000 0.2983
0.0000 0.0000 0.7017
0.0385 0.6750 0.2219
0.0385 0.6750 0.7781
0.0988 0.4700 0.0000
0.1012 0.4724 0.5000
0.1494 0.1179 0.5000
0.1810 0.8836 0.2056
0.1810 0.8836 0.7944
0.1952 0.1258 0.0000
0.2097 0.7615 0.5000
0.2270 0.7640 0.0000
0.2730 0.2640 0.5000
0.2903 0.2615 0.0000
0.3048 0.6258 0.5000
0.3190 0.3836 0.2944
0.3190 0.3836 0.7056
0.3506 0.6179 0.0000
0.3988 0.9724 0.0000
0.4012 0.9700 0.5000
0.4615 0.1750 0.2781
0.4615 0.1750 0.7219
0.5000 0.5000 0.2017
0.5000 0.5000 0.7983
0.5385 0.8250 0.2781
0.5385 0.8250 0.7219
0.5988 0.0300 0.5000
0.6012 0.0276 0.0000
0.6494 0.3821 0.0000
0.6810 0.6164 0.2944
0.6810 0.6164 0.7056
0.6952 0.3742 0.5000
0.7097 0.7385 0.0000
0.7270 0.7360 0.5000
0.7730 0.2360 0.0000
0.7903 0.2385 0.5000
0.8048 0.8742 0.0000
0.8190 0.1164 0.2056
0.8190 0.1164 0.7944
0.8506 0.8821 0.5000
0.8988 0.5276 0.5000
0.9012 0.5300 0.0000
0.9615 0.3250 0.2219
0.9615 0.3250 0.7781
```

calculated density: 5.26 Mg/m³

=====

BaSb2Se4 | PBE | relaxed

```
BaSb2Se4
1.0
8.7813 0.0000 0.0000
0.0000 21.3038 0.0000
-8.6246 0.0000 9.2980
Ba Sb Se
8 16 32
direct
0.1554 0.1945 0.1005
0.1554 0.3055 0.6005
0.3440 0.7046 0.8984
0.3440 0.7954 0.3984
0.6560 0.2046 0.6016
0.6560 0.2954 0.1016
0.8446 0.6945 0.3995
0.8446 0.8055 0.8995
0.0135 0.5053 0.3548
0.0135 0.9947 0.8548
0.1624 0.6215 0.1473
0.1624 0.8785 0.6473
0.3703 0.1121 0.8801
0.3703 0.3879 0.3801
0.3957 0.0340 0.5905
0.3957 0.4660 0.0905
0.6043 0.5340 0.9095
0.6043 0.9660 0.4095
0.6297 0.6121 0.6199
0.6297 0.8879 0.1199
0.8376 0.1215 0.3527
0.8376 0.3785 0.8527
0.9865 0.0053 0.1452
0.9865 0.4947 0.6452
0.0194 0.0333 0.6632
0.0194 0.4667 0.1632
0.1960 0.2183 0.8514
0.1960 0.2817 0.3514
0.1958 0.6458 0.3659
0.1958 0.8542 0.8659
0.2310 0.5866 0.6799
0.2310 0.9134 0.1799
0.2328 0.1530 0.5718
0.2328 0.3470 0.0718
0.3157 0.7282 0.1474
0.3157 0.7718 0.6474
0.3600 0.0622 0.0696
0.3600 0.4378 0.5696
0.3939 0.0751 0.3930
0.3939 0.4249 0.8930
0.6061 0.5751 0.1070
0.6061 0.9249 0.6070
0.6400 0.5622 0.4304
0.6400 0.9378 0.9304
0.6843 0.2282 0.3526
0.6843 0.2718 0.8526
0.7672 0.6530 0.9282
0.7672 0.8470 0.4282
0.7690 0.0866 0.8201
0.7690 0.4134 0.3201
0.8042 0.1458 0.1341
0.8042 0.3542 0.6341
0.8040 0.7183 0.6486
0.8040 0.7817 0.1486
0.9806 0.5333 0.8368
0.9806 0.9667 0.3368
```

calculated density: 5.32 Mg/m³

=====

Ba4SiSb2Se11 | PBE | relaxed

```
Ba4SiSb2Se11
1.0
4.7798 -13.0201 0.0000
4.7798 13.0201 0.0000
0.0000 0.0000 8.9269
Ba Si Sb Se
8 2 4 22
direct
0.0426 0.4625 0.2399
0.2065 0.2866 0.0000
0.2866 0.2065 0.5000
0.4625 0.0426 0.7399
0.5375 0.9574 0.2399
0.7134 0.7935 0.0000
0.7935 0.7134 0.5000
0.9574 0.5375 0.7399
0.4205 0.5795 0.3319
0.5795 0.4205 0.8319
0.1489 0.8511 0.1703
0.3558 0.6442 0.6695
0.6442 0.3558 0.1695
0.8511 0.1489 0.6703
0.0270 0.9730 0.2170
0.0521 0.3811 0.8443
0.0555 0.9445 0.8459
0.1170 0.8830 0.6441
0.2106 0.4094 0.4794
0.2335 0.7665 0.0132
0.2688 0.7312 0.5314
0.3752 0.6248 0.1139
0.3811 0.0521 0.3443
0.4094 0.2106 0.9794
0.4952 0.5048 0.7571
0.5048 0.4952 0.2571
0.5906 0.7894 0.4794
0.6189 0.9479 0.8443
0.6248 0.3752 0.6139
0.7312 0.2688 0.0314
0.7665 0.2335 0.5132
0.7894 0.5906 0.9794
0.8830 0.1170 0.1441
0.9445 0.0555 0.3459
0.9479 0.6189 0.3443
0.9730 0.0270 0.7170
```

calculated density: 5.05 Mg/m³

=====

Ba2Sn3Sb6 | PBE | relaxed

```
Ba2Sn3Sb6
1.0
13.6156 0.0000 0.0000
0.0000 4.4936 0.0000
0.0000 0.0000 25.0086
Ba Sn Sb
8 12 24
direct
0.0486 0.2500 0.0792
0.1302 0.2500 0.3915
0.3698 0.7500 0.8915
0.4514 0.7500 0.5792
0.5486 0.2500 0.4208
0.6302 0.2500 0.1085
0.8698 0.7500 0.6085
0.9514 0.7500 0.9208
0.0415 0.2500 0.2505
0.1803 0.7500 0.5980
0.1946 0.2500 0.7342
0.3054 0.7500 0.2342
0.3197 0.2500 0.0980
0.4585 0.7500 0.7505
0.5415 0.2500 0.2495
0.6803 0.7500 0.9020
0.6946 0.2500 0.7658
0.8054 0.7500 0.2658
0.8197 0.2500 0.4020
0.9585 0.7500 0.7495
0.0652 0.2500 0.6441
0.0704 0.7500 0.4971
0.1160 0.7500 0.1850
0.1510 0.7500 0.8033
0.1612 0.2500 0.9220
0.1990 0.7500 0.9976
0.3010 0.2500 0.4976
0.3388 0.7500 0.4220
0.3490 0.2500 0.3033
0.3840 0.2500 0.6850
0.4296 0.2500 0.9971
0.4348 0.7500 0.1441
0.5652 0.2500 0.8559
0.5704 0.7500 0.0029
0.6160 0.7500 0.3150
0.6510 0.7500 0.6967
0.6612 0.2500 0.5780
0.6990 0.7500 0.5024
0.8010 0.2500 0.0024
0.8388 0.7500 0.0780
0.8490 0.2500 0.1967
0.8840 0.2500 0.8150
0.9296 0.2500 0.5029
0.9348 0.7500 0.3559
```

calculated density: 5.91 Mg/m³

=====

BaSbTe3 | PBE | relaxed

```
BaSbTe3
1.0
4.6171 0.0000 0.0000
0.0000 17.3577 0.0000
0.0000 0.0000 18.3585
Ba Sb Te
8 8 24
direct
0.2374 0.1040 0.4045
0.2416 0.9598 0.1663
0.2584 0.0402 0.6663
0.2626 0.8960 0.9045
0.7374 0.3960 0.5955
0.7416 0.5402 0.8337
0.7584 0.4598 0.3337
0.7626 0.6040 0.0955
0.2246 0.2812 0.8004
0.2291 0.3677 0.0291
0.2709 0.6323 0.5291
0.2754 0.7188 0.3004
0.7246 0.2188 0.1996
0.7291 0.1323 0.9709
0.7709 0.8677 0.4709
0.7754 0.7812 0.6996
0.1915 0.7117 0.8081
0.2128 0.2368 0.5587
0.2205 0.8188 0.5920
0.2382 0.8973 0.3684
0.2391 0.4330 0.7330
0.2479 0.4751 0.4746
0.2521 0.5249 0.9746
0.2609 0.5670 0.2330
0.2618 0.1027 0.8684
0.2795 0.1812 0.0920
0.2872 0.7632 0.0587
0.3085 0.2883 0.3081
0.6915 0.7883 0.1919
0.7128 0.2632 0.4413
0.7205 0.6812 0.4080
0.7382 0.6027 0.6316
0.7391 0.0670 0.2670
0.7479 0.0249 0.5254
0.7521 0.9751 0.0254
0.7609 0.9330 0.7670
0.7618 0.3973 0.1316
0.7795 0.3188 0.9080
0.7872 0.7368 0.9413
0.8085 0.2117 0.6919
```

calculated density: 5.80 Mg/m³

=====

Number 1: ΔE_f -15.2 eV per formula unit, total DFT energy (no corrections) -0.221 Ha/atom. Number 2: ΔE_f -2.8 eV per formula unit, total DFT energy (no corrections) -0.152 Ha/atom. Number 3: ΔE_f -10.2 eV per formula unit, total DFT energy (no corrections) -0.145 Ha/atom. Number 4: ΔE_f -4.8 eV per formula unit, total DFT energy (no corrections) -0.150 Ha/atom. Number 5: ΔE_f -10.2 eV per formula unit, total DFT energy (no corrections) -0.145 Ha/atom. Number 6: ΔE_f -24.8 eV per formula unit, total DFT energy (no corrections) -0.159 Ha/atom. Number 7: ΔE_f -7.5 eV per formula unit, total DFT energy (no corrections) -0.156 Ha/atom. Number 8: ΔE_f -25.2 eV per formula unit, total DFT energy (no corrections) -0.163 Ha/atom. Number 9: ΔE_f -5.7 eV per formula unit, total DFT energy (no corrections) -0.151 Ha/atom. Number 10: ΔE_f -5.2 eV per formula unit, total DFT energy (no corrections) -0.143 Ha/atom.